(1)
! GGA-PBE TiGeOs, relaxed; values from VASP
! * energy relative to the elements: -516 meV per atom
! * theoretical density: 11.2 g/cm³
&SYSTEM
  ibrav = 0, nat = 18, ntyp = 3
/
ATOMIC_SPECIES
Ti 47.87 Ti.upf
Ge 72.64 Ge.upf
Os 190.23 Os.upf
ATOMIC_POSITIONS angstrom
Ti 1.818 2.580 0.119
Ti 1.818 3.150 3.426
Ti 1.818 5.721 1.104
Ti 1.818 0.009 4.411
Ti -1.818 3.476 3.609
Ti 5.455 2.254 0.301
Ge 1.818 0.420 1.697
Ge 1.818 5.310 -1.611
Ge 3.664 3.813 1.626
Ge -0.028 1.917 4.933
Ge 3.664 1.917 4.933
Ge -0.028 3.813 1.626
Os 0.000 0.000 6.583
Os 3.637 0.000 6.583
Os 3.937 1.452 2.470
Os -0.300 4.278 -0.838
Os 3.937 4.278 -0.838
Os -0.300 1.452 2.470
CELL_PARAMETERS angstrom
0.000 0.000 6.615
7.273 0.000 0.000
-3.637 5.730 -3.308


(2)
! GGA-PBE Na3La2Sn2P5SO24, relaxed; values from VASP
! * energy relative to the elements: -2713 meV per atom
! * theoretical density: 3.3 g/cm³
! * total magnetic moment: 0.0 μB per formula unit
&SYSTEM
  ibrav = 0, nat = 111, ntyp = 6
/
ATOMIC_SPECIES
Na 22.99 Na.upf
La 138.91 La.upf
Sn 118.71 Sn.upf
P 30.97 P.upf
S 32.06 S.upf
O 16.00 O.upf
ATOMIC_POSITIONS angstrom
Na -1.586 2.826 17.694
Na 1.796 7.612 13.721
Na -1.111 2.628 1.958
Na -4.438 7.843 11.668
Na -4.403 7.850 23.433
Na 4.549 2.542 19.662
Na 4.730 2.690 7.858
Na 0.190 5.328 3.925
Na 0.064 5.265 15.704
La -4.395 7.879 15.165
La 4.623 7.865 3.392
La -0.002 5.392 0.351
La -0.083 5.259 12.138
La -0.003 5.283 7.542
La 0.014 5.364 19.371
Sn 4.472 7.884 8.167
Sn 0.059 0.005 19.948
Sn 4.546 2.675 16.189
Sn 4.608 2.707 4.395
Sn 4.609 2.556 23.148
Sn 4.657 2.697 11.358
P 3.306 5.486 5.885
P 7.715 2.320 5.852
P 1.464 2.310 17.698
P 5.884 5.491 17.719
P 6.467 0.080 17.617
P 7.163 2.683 13.820
P 3.383 0.456 13.703
P 3.267 4.859 13.721
P 5.893 4.842 1.904
P 5.823 0.443 2.013
P 2.027 2.700 1.975
P -1.444 2.676 21.591
P -1.467 7.850 21.587
P 1.487 7.848 9.867
P -2.955 5.307 9.776
S 2.739 0.140 5.936
S 3.022 5.287 21.587
S 1.486 2.686 9.796
O 1.850 0.253 7.144
O 3.938 6.184 7.152
O 8.068 1.395 7.096
O 1.203 1.408 18.957
O 5.305 6.231 18.977
O 7.467 0.310 18.834
O 2.671 7.865 16.282
O 0.817 1.713 16.457
O -3.486 6.249 16.437
O 3.587 6.287 4.628
O -0.910 1.720 4.534
O -2.589 7.933 4.685
O 6.337 2.776 15.153
O 3.881 1.133 15.020
O 3.642 4.094 15.025
O 5.569 4.070 3.219
O 5.306 1.134 3.308
O 2.881 2.771 3.279
O 2.882 2.650 0.684
O 5.394 4.121 0.632
O 5.478 1.220 0.717
O 3.774 1.233 12.428
O 3.740 4.140 12.433
O 6.280 2.613 12.547
O 2.190 5.517 22.781
O -0.800 3.295 22.852
O -1.233 6.978 22.828
O 1.307 7.029 11.161
O 0.864 3.276 10.996
O -2.124 5.564 11.042
O -2.084 5.008 8.560
O 0.841 7.171 8.658
O 1.290 3.537 8.614
O -1.216 3.531 20.333
O -0.779 7.285 20.346
O 2.203 5.037 20.393
O 5.348 6.637 9.569
O 7.601 0.073 9.669
O 0.868 1.333 9.587
O 8.348 1.271 21.402
O 1.537 -0.017 21.412
O 3.875 6.505 21.404
O 7.956 1.360 13.783
O 1.867 0.288 13.636
O 3.890 6.274 13.674
O 5.288 6.244 1.849
O 7.370 0.423 1.990
O 1.113 1.450 1.951
O 5.649 1.442 17.597
O 3.022 2.413 17.590
O 5.179 4.080 17.651
O 4.017 4.080 5.832
O 6.135 2.378 5.824
O 3.555 1.401 5.889
O 3.903 4.090 21.762
O 6.167 2.542 21.768
O 3.667 1.351 21.786
O 5.430 1.342 10.001
O 2.963 2.524 9.973
O 5.255 4.101 9.969
O 1.098 3.945 1.964
O -1.723 4.859 1.884
O 0.665 6.982 1.978
O -0.450 7.028 13.692
O 1.727 5.031 13.722
O -1.097 3.891 13.788
O -0.916 6.926 6.024
O 1.792 5.301 6.029
O -0.879 3.697 6.046
O 0.817 3.697 17.882
O -1.768 5.170 17.851
O 0.980 6.836 17.805
CELL_PARAMETERS angstrom
9.168 0.031 0.009
-4.557 7.950 -0.023
0.023 -0.054 23.571


(3)
! GGA-PBE OsRu, relaxed; values from VASP
! * energy relative to the elements: -9 meV per atom
! * theoretical density: 17.1 g/cm³
&SYSTEM
  ibrav = 0, nat = 2, ntyp = 2
/
ATOMIC_SPECIES
Os 190.23 Os.upf
Ru 101.07 Ru.upf
ATOMIC_POSITIONS angstrom
Os 1.231 0.958 2.187
Ru -1.043 -0.067 1.190
CELL_PARAMETERS angstrom
0.268 2.703 0.386
-1.699 -1.452 1.592
3.238 -0.721 2.798


(4)
! GGA-PBE CaH16O10, relaxed; values from VASP
! * energy relative to the elements: -1377 meV per atom
! * theoretical density: 1.7 g/cm³
! * relative energy among the computed polymorphs: 0.51 eV per formula unit
! * total magnetic moment: 0.0 μB per formula unit
&SYSTEM
  ibrav = 0, nat = 54, ntyp = 3
/
ATOMIC_SPECIES
Ca 40.08 Ca.upf
H 1.01 H.upf
O 16.00 O.upf
ATOMIC_POSITIONS angstrom
Ca -12.055 -0.420 -0.480
Ca -8.202 0.133 -4.248
H -7.722 -2.226 1.746
H -6.611 -2.894 2.624
H -8.643 1.145 1.529
H -7.938 2.192 0.587
H -9.274 -0.980 0.450
H -8.820 -1.134 -1.207
H -5.519 0.228 2.835
H -6.533 1.272 3.432
H -5.476 0.676 -3.212
H -5.040 1.215 -4.799
H -1.649 -0.698 -1.112
H -2.558 -1.926 -0.739
H -4.690 -1.518 -2.553
H -3.908 -2.270 -3.704
H -2.979 2.307 -0.599
H -4.075 1.689 -1.537
H -7.304 2.125 -1.402
H -6.243 1.346 -0.516
H -5.397 -1.718 -0.194
H -5.967 -2.937 0.657
H -4.461 1.577 1.656
H -4.739 0.232 0.869
H -7.140 -0.628 -1.538
H -8.160 -2.742 4.987
H -8.540 -1.291 4.484
H -10.987 -0.128 2.298
H -9.396 0.745 3.867
H -10.092 1.659 4.978
H -9.955 -2.206 2.863
H -11.003 -2.884 1.877
H -7.504 -0.255 2.646
H -3.664 -0.338 -1.146
O -7.211 -3.070 1.834
O -8.759 2.059 1.153
O -9.681 -1.324 -0.375
O -6.326 0.261 3.441
O -5.907 1.148 -3.954
O -2.434 -0.928 -0.516
O -4.725 -2.334 -3.121
O -3.625 2.551 -1.334
O -6.705 2.244 -0.605
O -5.201 -2.685 0.073
O -4.303 0.563 1.716
O -7.890 -1.023 -2.043
O -8.094 -1.754 5.261
O -11.778 0.299 1.890
O -9.309 1.634 4.358
O -10.368 -3.103 2.620
O -8.354 -0.517 2.095
O -4.545 -0.017 -1.616
O -5.557 -0.160 -0.538
O -9.376 -0.703 3.157
CELL_PARAMETERS angstrom
-3.310 4.601 -2.665
-2.969 -4.179 -3.600
-7.659 -1.072 7.526


(5)
! GGA-PBE Zn53Ni16, relaxed; values from VASP
! * energy relative to the elements: -193 meV per atom
! * theoretical density: 7.9 g/cm³
! * total magnetic moment: 0.0 μB per formula unit
&SYSTEM
  ibrav = 0, nat = 138, ntyp = 2
/
ATOMIC_SPECIES
Zn 65.41 Zn.upf
Ni 58.69 Ni.upf
ATOMIC_POSITIONS angstrom
Zn 5.239 4.061 7.427
Zn 5.311 -4.035 20.048
Zn 4.751 0.000 2.546
Zn 8.665 0.000 3.789
Zn 5.419 4.022 23.602
Zn 8.462 0.000 11.544
Zn 8.539 0.000 24.267
Zn 3.383 -2.327 15.882
Zn 2.497 -1.506 9.341
Zn 2.669 1.401 21.796
Zn 3.606 4.032 30.468
Zn 3.383 -3.935 0.781
Zn 0.000 0.000 16.663
Zn 5.578 2.321 5.244
Zn 3.470 -2.240 6.938
Zn 6.758 1.569 3.057
Zn 0.306 0.000 14.117
Zn 3.578 -2.227 3.384
Zn 3.651 4.061 25.900
Zn 5.284 4.032 2.859
Zn 5.507 -3.935 32.546
Zn 3.997 0.000 17.863
Zn 0.428 0.000 21.783
Zn 5.284 -2.230 13.805
Zn 4.795 0.000 7.604
Zn 5.311 -2.227 29.943
Zn 5.419 -4.022 23.602
Zn 8.442 0.000 32.127
Zn 6.942 1.506 7.323
Zn 3.311 2.321 28.083
Zn 4.892 0.000 15.464
Zn 2.132 1.569 30.270
Zn 3.311 -2.321 28.083
Zn 1.793 1.462 17.725
Zn 6.238 1.462 32.266
Zn 5.419 -2.240 26.389
Zn 2.669 -1.401 21.796
Zn 2.132 -1.569 30.270
Zn 4.329 0.000 10.312
Zn 6.393 1.506 23.986
Zn 2.652 1.462 1.061
Zn 3.311 -3.940 21.907
Zn 3.651 -4.061 25.900
Zn 7.096 -1.462 15.602
Zn 3.606 -2.230 19.522
Zn 5.507 2.327 17.445
Zn 2.497 1.506 9.341
Zn 4.017 0.000 5.119
Zn 4.094 0.000 25.723
Zn 3.651 -2.201 24.090
Zn 7.114 1.401 28.194
Zn 5.311 2.227 29.943
Zn 0.116 0.000 26.976
Zn 3.606 2.230 19.522
Zn 3.311 3.940 21.907
Zn 8.774 0.000 6.351
Zn 7.114 -1.401 28.194
Zn 6.221 1.401 11.531
Zn 1.776 1.401 5.133
Zn 0.350 0.000 9.060
Zn 3.651 2.201 24.090
Zn 1.948 1.506 26.004
Zn 5.578 3.940 11.420
Zn 5.578 -3.940 11.420
Zn 8.583 0.000 19.210
Zn 0.225 0.000 29.538
Zn 3.470 2.240 6.938
Zn 4.561 0.000 23.015
Zn 5.419 2.240 26.389
Zn 5.239 -4.061 7.427
Zn 0.447 0.000 1.200
Zn 5.239 -2.201 9.237
Zn 2.313 -1.569 13.606
Zn 4.872 0.000 28.208
Zn 3.470 -4.022 9.725
Zn 2.313 1.569 13.606
Zn 1.793 -1.462 17.725
Zn 5.311 4.035 20.048
Zn 3.383 3.935 0.781
Zn 3.578 4.035 13.279
Zn 3.578 2.227 3.384
Zn 7.096 1.462 15.602
Zn 4.138 0.000 30.781
Zn 3.470 4.022 9.725
Zn 5.507 -2.327 17.445
Zn 6.577 1.569 19.721
Zn 1.776 -1.401 5.133
Zn 6.577 -1.569 19.721
Zn 2.652 -1.462 1.061
Zn 4.670 0.000 20.453
Zn 4.445 0.000 0.000
Zn 6.942 -1.506 7.323
Zn 1.948 -1.506 26.004
Zn 5.284 -4.032 2.859
Zn 6.758 -1.569 3.057
Zn 5.239 2.201 9.237
Zn 4.220 0.000 12.874
Zn 5.578 -2.321 5.244
Zn 6.238 -1.462 32.266
Zn 3.606 -4.032 30.468
Zn 6.393 -1.506 23.986
Zn 5.284 2.230 13.805
Zn 3.383 2.327 15.882
Zn 5.507 3.935 32.546
Zn 3.578 -4.035 13.279
Zn 6.221 -1.401 11.531
Ni 6.615 0.000 26.042
Ni 6.520 0.000 5.205
Ni 3.700 -2.195 32.168
Ni 6.830 0.000 1.011
Ni 3.700 2.195 32.168
Ni 5.189 4.067 15.505
Ni 2.257 0.000 3.079
Ni 2.369 0.000 28.122
Ni 2.385 0.000 15.652
Ni 2.274 0.000 7.285
Ni 2.059 0.000 32.316
Ni 3.717 4.048 5.155
Ni 6.814 0.000 21.869
Ni 5.172 4.048 28.172
Ni 2.171 0.000 23.948
Ni 3.717 -4.048 5.155
Ni 5.172 2.214 21.819
Ni 6.504 0.000 17.675
Ni 5.189 -4.067 15.505
Ni 5.172 -2.214 21.819
Ni 6.632 0.000 30.248
Ni 3.700 -4.067 17.822
Ni 5.172 -4.048 28.172
Ni 2.188 0.000 19.742
Ni 3.717 2.214 11.508
Ni 5.189 -2.195 1.159
Ni 6.719 0.000 9.379
Ni 3.700 4.067 17.822
Ni 2.075 0.000 11.458
Ni 3.717 -2.214 11.508
Ni 6.702 0.000 13.585
Ni 5.189 2.195 1.159
CELL_PARAMETERS angstrom
4.445 -6.262 0.000
4.445 6.262 0.000
0.000 0.000 33.327